Entry 1:
Here is crystalline V7P6O24 at its relaxed geometry from the Materials Project. Energies are from r2SCAN.

Lattice parameters (Å, degrees): 6.3693 8.0553 9.2170 105.32 108.56 101.68
Space group P-1 (No. 2)
Inequivalent atoms, fractional coordinates:
1 V 0.0000 0.0000 0.0000 [1 per cell]
2 V 0.0429 0.7132 0.5167 [2 per cell]
3 V 0.2787 0.8110 0.2787 [2 per cell]
4 V 0.3972 0.4610 0.1129 [2 per cell]
5 P 0.0837 0.5911 0.8341 [2 per cell]
6 P 0.2243 0.1352 0.7708 [2 per cell]
7 P 0.3995 0.2390 0.3758 [2 per cell]
8 O 0.0128 0.1788 0.6660 [2 per cell]
9 O 0.0540 0.5471 0.6534 [2 per cell]
10 O 0.1123 0.7826 0.9272 [2 per cell]
11 O 0.1320 0.5371 0.1644 [2 per cell]
12 O 0.2043 0.9387 0.7038 [2 per cell]
13 O 0.2271 0.1845 0.9464 [2 per cell]
14 O 0.2471 0.2748 0.4700 [2 per cell]
15 O 0.2742 0.0486 0.2377 [2 per cell]
16 O 0.2974 0.5358 0.9129 [2 per cell]
17 O 0.3685 0.7648 0.4999 [2 per cell]
18 O 0.4503 0.2531 0.7747 [2 per cell]
19 O 0.4560 0.3776 0.3010 [2 per cell]

## Properties
Total moment in μB per cell: 17.00
Energy relative to the elements in eV/atom: -2.523

=====

Entry 2:
Here is crystalline Ca6Al7O16 at its relaxed geometry from the Materials Project. Energies are from r2SCAN.

Lattice parameters (Å, degrees): 12.0041 12.0041 12.0041 90.00 90.00 90.00
Space group I-43d (No. 220)
Inequivalent atoms, fractional coordinates:
1 Ca 0.0000 0.2500 0.1387 [24 per cell]
2 Al 0.0000 0.2500 0.8750 [12 per cell]
3 Al 0.0171 0.0171 0.0171 [16 per cell]
4 O 0.0354 0.4446 0.1499 [48 per cell]
5 O 0.0660 0.4340 0.5660 [16 per cell]

## Properties
Total moment in μB per cell: 0.00
Energy relative to the elements in eV/atom: -3.304

=====

Entry 3:
Here is crystalline Li2H6Pt at its relaxed geometry from the Materials Project. Energies are from r2SCAN.

Lattice parameters (Å, degrees): 6.6499 6.6499 6.6499 90.00 90.00 90.00
Space group Fm-3m (No. 225)
Inequivalent atoms, fractional coordinates:
1 Li 0.2500 0.2500 0.2500 [8 per cell]
2 H 0.0000 0.0000 0.2452 [24 per cell]
3 Pt 0.0000 0.0000 0.0000 [4 per cell]

## Properties
Total moment in μB per cell: 0.00
Energy relative to the elements in eV/atom: -0.430

=====

Entry 4:
Here is crystalline Cs3HoO3 at its relaxed geometry from the Materials Project. Energies are from r2SCAN.

Lattice parameters (Å, degrees): 7.9121 12.7148 7.6177 90.00 101.26 90.00
Space group C2/m (No. 12)
Inequivalent atoms, fractional coordinates:
1 Cs 0.0000 0.2104 0.0000 [4 per cell]
2 Cs 0.0000 0.2632 0.5000 [4 per cell]
3 Cs 0.1437 0.5000 0.8524 [4 per cell]
4 Ho 0.1711 0.0000 0.6516 [4 per cell]
5 O 0.1042 0.0000 0.3609 [4 per cell]
6 O 0.2019 0.3644 0.2325 [8 per cell]

## Properties
Total moment in μB per cell: 0.00
E above lowest polymorph in meV per atom: 11
Energy relative to the elements in eV/atom: -2.129

=====

Which value of energy relative to the elements does entry 3 give?
-0.430 eV/atom